Entry 1:
Li5V3P8O29: relaxed, PBE+U.

Calculated values
ΔE_f (meV per atom): -2619.7

a b c (Å): 9.785 9.797 14.148
angles (deg): 89.18 89.39 60.17
Space group P1 (No. 1)
Asymmetric unit:
Li  0.000  0.000  0.000 (multiplicity 1)
Li  0.002  0.556  0.449 (multiplicity 1)
Li  0.373  0.317  0.616 (multiplicity 1)
Li  0.447  0.575  0.502 (multiplicity 1)
Li  0.459  0.153  0.006 (multiplicity 1)
Li  0.587  0.544  0.996 (multiplicity 1)
Li  0.740  0.220  0.545 (multiplicity 1)
Li  0.768  0.906  0.124 (multiplicity 1)
Li  0.906  0.324  0.121 (multiplicity 1)
Li  0.917  0.909  0.620 (multiplicity 1)
V  0.112  0.794  0.812 (multiplicity 1)
V  0.113  0.225  0.311 (multiplicity 1)
V  0.243  0.229  0.802 (multiplicity 1)
V  0.252  0.658  0.303 (multiplicity 1)
V  0.673  0.798  0.316 (multiplicity 1)
V  0.683  0.660  0.803 (multiplicity 1)
P  0.007  0.568  0.190 (multiplicity 1)
P  0.015  0.563  0.686 (multiplicity 1)
P  0.343  0.887  0.428 (multiplicity 1)
P  0.345  0.898  0.925 (multiplicity 1)
P  0.362  0.321  0.401 (multiplicity 1)
P  0.364  0.453  0.895 (multiplicity 1)
P  0.448  0.550  0.715 (multiplicity 1)
P  0.451  0.145  0.220 (multiplicity 1)
P  0.593  0.551  0.213 (multiplicity 1)
P  0.599  0.009  0.720 (multiplicity 1)
P  0.764  0.907  0.905 (multiplicity 1)
P  0.766  0.446  0.396 (multiplicity 1)
P  0.908  0.910  0.404 (multiplicity 1)
P  0.911  0.317  0.901 (multiplicity 1)
P  0.983  0.147  0.719 (multiplicity 1)
P  0.995  0.000  0.220 (multiplicity 1)
O  0.006  0.717  0.723 (multiplicity 1)
O  0.008  0.415  0.225 (multiplicity 1)
O  0.009  0.582  0.085 (multiplicity 1)
O  0.014  0.146  0.218 (multiplicity 1)
O  0.021  0.973  0.725 (multiplicity 1)
O  0.028  0.555  0.580 (multiplicity 1)
O  0.062  0.326  0.877 (multiplicity 1)
O  0.065  0.752  0.390 (multiplicity 1)
O  0.139  0.154  0.727 (multiplicity 1)
O  0.154  0.569  0.238 (multiplicity 1)
O  0.156  0.849  0.236 (multiplicity 1)
O  0.173  0.415  0.727 (multiplicity 1)
O  0.189  0.901  0.893 (multiplicity 1)
O  0.197  0.338  0.389 (multiplicity 1)
O  0.198  0.035  0.391 (multiplicity 1)
O  0.201  0.606  0.881 (multiplicity 1)
O  0.298  0.137  0.242 (multiplicity 1)
O  0.298  0.707  0.732 (multiplicity 1)
O  0.340  0.307  0.895 (multiplicity 1)
O  0.340  0.491  0.396 (multiplicity 1)
O  0.342  0.045  0.871 (multiplicity 1)
O  0.343  0.924  0.029 (multiplicity 1)
O  0.354  0.737  0.378 (multiplicity 1)
O  0.355  0.851  0.532 (multiplicity 1)
O  0.425  0.150  0.718 (multiplicity 1)
O  0.426  0.566  0.221 (multiplicity 1)
O  0.439  0.230  0.129 (multiplicity 1)
O  0.447  0.242  0.490 (multiplicity 1)
O  0.450  0.471  0.624 (multiplicity 1)
O  0.454  0.456  0.978 (multiplicity 1)
O  0.463  0.431  0.799 (multiplicity 1)
O  0.467  0.236  0.310 (multiplicity 1)
O  0.492  0.747  0.889 (multiplicity 1)
O  0.493  0.892  0.388 (multiplicity 1)
O  0.580  0.710  0.231 (multiplicity 1)
O  0.593  0.572  0.726 (multiplicity 1)
O  0.597  0.980  0.225 (multiplicity 1)
O  0.600  0.852  0.725 (multiplicity 1)
O  0.663  0.030  0.821 (multiplicity 1)
O  0.672  0.431  0.475 (multiplicity 1)
O  0.675  0.475  0.122 (multiplicity 1)
O  0.679  0.977  0.996 (multiplicity 1)
O  0.692  0.032  0.643 (multiplicity 1)
O  0.692  0.431  0.297 (multiplicity 1)
O  0.763  0.481  0.899 (multiplicity 1)
O  0.772  0.876  0.401 (multiplicity 1)
O  0.776  0.749  0.881 (multiplicity 1)
O  0.777  0.599  0.393 (multiplicity 1)
O  0.859  0.714  0.235 (multiplicity 1)
O  0.877  0.550  0.729 (multiplicity 1)
O  0.884  0.230  0.636 (multiplicity 1)
O  0.888  0.018  0.310 (multiplicity 1)
O  0.891  0.220  0.817 (multiplicity 1)
O  0.903  0.999  0.491 (multiplicity 1)
O  0.918  0.988  0.130 (multiplicity 1)
O  0.928  0.230  0.993 (multiplicity 1)
O  0.929  0.893  0.901 (multiplicity 1)
O  0.938  0.307  0.394 (multiplicity 1)

Entry 2:
Li5V3P8O29: relaxed, PBE+U.

Calculated values
ΔE_f (meV per atom): -2615.6

a b c (Å): 9.798 9.803 13.900
angles (deg): 89.88 89.90 60.26
Space group P1 (No. 1)
Asymmetric unit:
Li  0.000  0.000  0.000 (multiplicity 1)
Li  0.001  0.458  0.501 (multiplicity 1)
Li  0.184  0.362  0.881 (multiplicity 1)
Li  0.185  0.909  0.381 (multiplicity 1)
Li  0.408  0.589  0.502 (multiplicity 1)
Li  0.412  0.456  0.000 (multiplicity 1)
Li  0.755  0.348  0.325 (multiplicity 1)
Li  0.766  0.911  0.880 (multiplicity 1)
Li  0.859  0.587  0.002 (multiplicity 1)
Li  0.863  0.995  0.502 (multiplicity 1)
V  0.089  0.114  0.187 (multiplicity 1)
V  0.090  0.250  0.692 (multiplicity 1)
V  0.518  0.688  0.695 (multiplicity 1)
V  0.521  0.249  0.195 (multiplicity 1)
V  0.655  0.689  0.195 (multiplicity 1)
V  0.656  0.116  0.687 (multiplicity 1)
P  0.000  0.001  0.783 (multiplicity 1)
P  0.176  0.366  0.099 (multiplicity 1)
P  0.178  0.914  0.600 (multiplicity 1)
P  0.320  0.366  0.599 (multiplicity 1)
P  0.321  0.766  0.098 (multiplicity 1)
P  0.406  0.595  0.284 (multiplicity 1)
P  0.410  0.449  0.783 (multiplicity 1)
P  0.419  0.016  0.316 (multiplicity 1)
P  0.424  0.017  0.815 (multiplicity 1)
P  0.754  0.351  0.068 (multiplicity 1)
P  0.755  0.353  0.568 (multiplicity 1)
P  0.770  0.916  0.100 (multiplicity 1)
P  0.772  0.767  0.598 (multiplicity 1)
P  0.857  0.597  0.784 (multiplicity 1)
P  0.860  0.001  0.284 (multiplicity 1)
P  0.998  0.452  0.284 (multiplicity 1)
O  0.004  0.432  0.783 (multiplicity 1)
O  0.011  0.019  0.280 (multiplicity 1)
O  0.079  0.448  0.375 (multiplicity 1)
O  0.081  0.929  0.875 (multiplicity 1)
O  0.085  0.441  0.009 (multiplicity 1)
O  0.089  0.473  0.192 (multiplicity 1)
O  0.089  0.892  0.691 (multiplicity 1)
O  0.092  0.920  0.509 (multiplicity 1)
O  0.174  0.344  0.601 (multiplicity 1)
O  0.176  0.933  0.098 (multiplicity 1)
O  0.184  0.206  0.119 (multiplicity 1)
O  0.191  0.061  0.617 (multiplicity 1)
O  0.273  0.012  0.275 (multiplicity 1)
O  0.276  0.169  0.776 (multiplicity 1)
O  0.295  0.470  0.695 (multiplicity 1)
O  0.295  0.688  0.195 (multiplicity 1)
O  0.329  0.451  0.512 (multiplicity 1)
O  0.331  0.444  0.874 (multiplicity 1)
O  0.333  0.672  0.012 (multiplicity 1)
O  0.335  0.686  0.375 (multiplicity 1)
O  0.340  0.348  0.099 (multiplicity 1)
O  0.344  0.764  0.602 (multiplicity 1)
O  0.422  0.868  0.767 (multiplicity 1)
O  0.425  0.009  0.922 (multiplicity 1)
O  0.426  0.160  0.270 (multiplicity 1)
O  0.429  0.006  0.422 (multiplicity 1)
O  0.430  0.429  0.283 (multiplicity 1)
O  0.431  0.596  0.775 (multiplicity 1)
O  0.470  0.205  0.617 (multiplicity 1)
O  0.473  0.774  0.120 (multiplicity 1)
O  0.569  0.301  0.765 (multiplicity 1)
O  0.569  0.866  0.267 (multiplicity 1)
O  0.573  0.578  0.267 (multiplicity 1)
O  0.577  0.008  0.774 (multiplicity 1)
O  0.602  0.500  0.608 (multiplicity 1)
O  0.604  0.352  0.110 (multiplicity 1)
O  0.611  0.064  0.115 (multiplicity 1)
O  0.612  0.776  0.619 (multiplicity 1)
O  0.706  0.586  0.765 (multiplicity 1)
O  0.717  0.169  0.267 (multiplicity 1)
O  0.751  0.354  0.459 (multiplicity 1)
O  0.751  0.934  0.598 (multiplicity 1)
O  0.753  0.765  0.102 (multiplicity 1)
O  0.755  0.353  0.961 (multiplicity 1)
O  0.759  0.499  0.110 (multiplicity 1)
O  0.762  0.197  0.605 (multiplicity 1)
O  0.831  0.599  0.274 (multiplicity 1)
O  0.833  0.022  0.778 (multiplicity 1)
O  0.842  0.684  0.875 (multiplicity 1)
O  0.851  0.921  0.009 (multiplicity 1)
O  0.851  0.928  0.376 (multiplicity 1)
O  0.855  0.673  0.512 (multiplicity 1)
O  0.878  0.688  0.695 (multiplicity 1)
O  0.879  0.894  0.192 (multiplicity 1)
O  0.902  0.358  0.606 (multiplicity 1)
O  0.903  0.196  0.107 (multiplicity 1)
O  0.977  0.307  0.266 (multiplicity 1)
O  0.992  0.161  0.762 (multiplicity 1)

Entry 3:
Li5V3P8O29: relaxed, PBE+U.

Calculated values
ΔE_f (meV per atom): -2617.6

a b c (Å): 9.751 9.772 14.091
angles (deg): 89.41 89.30 60.29
Space group P1 (No. 1)
Asymmetric unit:
Li  0.000  0.000  0.000 (multiplicity 1)
Li  0.002  0.570  0.501 (multiplicity 1)
Li  0.098  0.811  0.382 (multiplicity 1)
Li  0.425  0.009  0.503 (multiplicity 1)
Li  0.428  0.147  0.002 (multiplicity 1)
Li  0.666  0.243  0.882 (multiplicity 1)
Li  0.721  0.930  0.438 (multiplicity 1)
Li  0.787  0.864  0.939 (multiplicity 1)
Li  0.859  0.143  0.500 (multiplicity 1)
Li  0.864  0.568  0.003 (multiplicity 1)
V  0.201  0.475  0.694 (multiplicity 1)
V  0.204  0.908  0.186 (multiplicity 1)
V  0.330  0.345  0.194 (multiplicity 1)
V  0.334  0.907  0.696 (multiplicity 1)
V  0.763  0.473  0.197 (multiplicity 1)
V  0.767  0.344  0.687 (multiplicity 1)
P  0.073  0.685  0.101 (multiplicity 1)
P  0.080  0.822  0.602 (multiplicity 1)
P  0.097  0.246  0.073 (multiplicity 1)
P  0.104  0.242  0.572 (multiplicity 1)
P  0.428  0.576  0.310 (multiplicity 1)
P  0.435  0.571  0.810 (multiplicity 1)
P  0.451  0.137  0.785 (multiplicity 1)
P  0.452  0.996  0.286 (multiplicity 1)
P  0.544  0.215  0.601 (multiplicity 1)
P  0.551  0.824  0.103 (multiplicity 1)
P  0.678  0.222  0.102 (multiplicity 1)
P  0.682  0.690  0.603 (multiplicity 1)
P  0.852  0.595  0.786 (multiplicity 1)
P  0.855  0.128  0.284 (multiplicity 1)
P  0.987  0.996  0.785 (multiplicity 1)
P  0.991  0.597  0.286 (multiplicity 1)
O  0.023  0.568  0.770 (multiplicity 1)
O  0.026  0.985  0.274 (multiplicity 1)
O  0.087  0.097  0.108 (multiplicity 1)
O  0.092  0.396  0.616 (multiplicity 1)
O  0.100  0.253  0.967 (multiplicity 1)
O  0.104  0.251  0.466 (multiplicity 1)
O  0.107  0.651  0.601 (multiplicity 1)
O  0.108  0.823  0.096 (multiplicity 1)
O  0.144  0.996  0.773 (multiplicity 1)
O  0.149  0.439  0.269 (multiplicity 1)
O  0.228  0.525  0.112 (multiplicity 1)
O  0.237  0.820  0.616 (multiplicity 1)
O  0.250  0.237  0.116 (multiplicity 1)
O  0.257  0.097  0.611 (multiplicity 1)
O  0.278  0.721  0.271 (multiplicity 1)
O  0.287  0.572  0.759 (multiplicity 1)
O  0.293  0.292  0.769 (multiplicity 1)
O  0.298  0.995  0.273 (multiplicity 1)
O  0.383  0.369  0.611 (multiplicity 1)
O  0.388  0.829  0.113 (multiplicity 1)
O  0.421  0.563  0.915 (multiplicity 1)
O  0.423  0.167  0.270 (multiplicity 1)
O  0.423  0.996  0.779 (multiplicity 1)
O  0.427  0.562  0.415 (multiplicity 1)
O  0.431  0.428  0.259 (multiplicity 1)
O  0.440  0.715  0.767 (multiplicity 1)
O  0.507  0.248  0.102 (multiplicity 1)
O  0.509  0.827  0.602 (multiplicity 1)
O  0.530  0.140  0.876 (multiplicity 1)
O  0.532  0.933  0.378 (multiplicity 1)
O  0.556  0.109  0.522 (multiplicity 1)
O  0.558  0.921  0.022 (multiplicity 1)
O  0.568  0.120  0.700 (multiplicity 1)
O  0.571  0.896  0.201 (multiplicity 1)
O  0.577  0.576  0.266 (multiplicity 1)
O  0.579  0.418  0.770 (multiplicity 1)
O  0.677  0.377  0.113 (multiplicity 1)
O  0.683  0.249  0.597 (multiplicity 1)
O  0.685  0.530  0.613 (multiplicity 1)
O  0.685  0.653  0.101 (multiplicity 1)
O  0.752  0.713  0.701 (multiplicity 1)
O  0.761  0.112  0.194 (multiplicity 1)
O  0.764  0.133  0.013 (multiplicity 1)
O  0.776  0.702  0.522 (multiplicity 1)
O  0.783  0.110  0.375 (multiplicity 1)
O  0.789  0.677  0.879 (multiplicity 1)
O  0.845  0.167  0.776 (multiplicity 1)
O  0.851  0.441  0.773 (multiplicity 1)
O  0.852  0.569  0.282 (multiplicity 1)
O  0.858  0.283  0.273 (multiplicity 1)
O  0.950  0.396  0.116 (multiplicity 1)
O  0.957  0.230  0.610 (multiplicity 1)
O  0.968  0.695  0.022 (multiplicity 1)
O  0.968  0.924  0.875 (multiplicity 1)
O  0.971  0.904  0.694 (multiplicity 1)
O  0.978  0.712  0.200 (multiplicity 1)
O  0.995  0.907  0.513 (multiplicity 1)
O  0.999  0.675  0.377 (multiplicity 1)

Entry 4:
Li5V3P8O29: relaxed, PBE+U.

Calculated values
ΔE_f (meV per atom): -2618.3

a b c (Å): 9.771 9.802 13.967
angles (deg): 89.76 89.89 60.20
Space group P1 (No. 1)
Asymmetric unit:
Li  0.000  0.000  0.000 (multiplicity 1)
Li  0.004  0.437  0.497 (multiplicity 1)
Li  0.114  0.631  0.060 (multiplicity 1)
Li  0.201  0.327  0.121 (multiplicity 1)
Li  0.331  0.343  0.618 (multiplicity 1)
Li  0.336  0.761  0.119 (multiplicity 1)
Li  0.415  0.577  0.498 (multiplicity 1)
Li  0.763  0.895  0.121 (multiplicity 1)
Li  0.779  0.757  0.618 (multiplicity 1)
Li  0.874  0.987  0.498 (multiplicity 1)
V  0.100  0.231  0.309 (multiplicity 1)
V  0.103  0.095  0.803 (multiplicity 1)
V  0.532  0.665  0.307 (multiplicity 1)
V  0.536  0.235  0.815 (multiplicity 1)
V  0.666  0.098  0.307 (multiplicity 1)
V  0.667  0.663  0.811 (multiplicity 1)
P  0.012  0.435  0.717 (multiplicity 1)
P  0.013  0.980  0.215 (multiplicity 1)
P  0.185  0.894  0.399 (multiplicity 1)
P  0.187  0.348  0.901 (multiplicity 1)
P  0.323  0.753  0.901 (multiplicity 1)
P  0.333  0.344  0.402 (multiplicity 1)
P  0.410  0.439  0.217 (multiplicity 1)
P  0.417  0.577  0.717 (multiplicity 1)
P  0.433  0.998  0.185 (multiplicity 1)
P  0.437  0.002  0.688 (multiplicity 1)
P  0.765  0.332  0.430 (multiplicity 1)
P  0.775  0.326  0.930 (multiplicity 1)
P  0.780  0.751  0.401 (multiplicity 1)
P  0.785  0.891  0.900 (multiplicity 1)
P  0.868  0.984  0.717 (multiplicity 1)
P  0.876  0.579  0.217 (multiplicity 1)
O  0.001  0.284  0.736 (multiplicity 1)
O  0.007  0.137  0.228 (multiplicity 1)
O  0.013  0.009  0.720 (multiplicity 1)
O  0.018  0.408  0.220 (multiplicity 1)
O  0.091  0.904  0.484 (multiplicity 1)
O  0.095  0.894  0.124 (multiplicity 1)
O  0.099  0.458  0.809 (multiplicity 1)
O  0.104  0.417  0.627 (multiplicity 1)
O  0.106  0.868  0.303 (multiplicity 1)
O  0.116  0.433  0.992 (multiplicity 1)
O  0.177  0.923  0.892 (multiplicity 1)
O  0.183  0.329  0.401 (multiplicity 1)
O  0.185  0.194  0.886 (multiplicity 1)
O  0.194  0.046  0.380 (multiplicity 1)
O  0.286  0.004  0.736 (multiplicity 1)
O  0.290  0.153  0.225 (multiplicity 1)
O  0.303  0.454  0.135 (multiplicity 1)
O  0.305  0.664  0.808 (multiplicity 1)
O  0.307  0.681  0.992 (multiplicity 1)
O  0.312  0.460  0.315 (multiplicity 1)
O  0.343  0.653  0.625 (multiplicity 1)
O  0.349  0.416  0.493 (multiplicity 1)
O  0.353  0.749  0.399 (multiplicity 1)
O  0.358  0.318  0.892 (multiplicity 1)
O  0.419  0.854  0.225 (multiplicity 1)
O  0.424  0.012  0.582 (multiplicity 1)
O  0.433  0.153  0.730 (multiplicity 1)
O  0.433  0.998  0.077 (multiplicity 1)
O  0.438  0.582  0.218 (multiplicity 1)
O  0.441  0.407  0.723 (multiplicity 1)
O  0.476  0.758  0.887 (multiplicity 1)
O  0.481  0.184  0.381 (multiplicity 1)
O  0.565  0.284  0.226 (multiplicity 1)
O  0.575  0.572  0.737 (multiplicity 1)
O  0.586  0.852  0.726 (multiplicity 1)
O  0.589  0.984  0.226 (multiplicity 1)
O  0.612  0.478  0.389 (multiplicity 1)
O  0.620  0.762  0.381 (multiplicity 1)
O  0.622  0.329  0.884 (multiplicity 1)
O  0.628  0.046  0.885 (multiplicity 1)
O  0.717  0.141  0.736 (multiplicity 1)
O  0.720  0.580  0.226 (multiplicity 1)
O  0.757  0.750  0.895 (multiplicity 1)
O  0.763  0.917  0.400 (multiplicity 1)
O  0.765  0.331  0.537 (multiplicity 1)
O  0.772  0.309  0.036 (multiplicity 1)
O  0.773  0.178  0.388 (multiplicity 1)
O  0.776  0.470  0.887 (multiplicity 1)
O  0.844  0.001  0.219 (multiplicity 1)
O  0.847  0.582  0.716 (multiplicity 1)
O  0.854  0.664  0.493 (multiplicity 1)
O  0.857  0.907  0.627 (multiplicity 1)
O  0.870  0.892  0.989 (multiplicity 1)
O  0.892  0.668  0.135 (multiplicity 1)
O  0.893  0.871  0.807 (multiplicity 1)
O  0.897  0.656  0.315 (multiplicity 1)
O  0.913  0.340  0.391 (multiplicity 1)
O  0.919  0.171  0.888 (multiplicity 1)

no.,distance to the lowest polymorph of the same formula (eV/atom)
1,0.001
2,0.005
3,0.003
4,0.002